Model 1:
Below is a relaxed SrH16O10 crystal, with properties calculated at the GGA-PBE level.

```
data_SrH16O10
_symmetry_space_group_name_H-M 'P -1'
_symmetry_Int_Tables_number 2
_symmetry_space_group_name_Hall '-P 1'
_cell_length_a 5.939
_cell_length_b 6.551
_cell_length_c 6.693
_cell_angle_alpha 86.97
_cell_angle_beta 88.15
_cell_angle_gamma 88.58
loop_
_atom_site_label
_atom_site_fract_x
_atom_site_fract_y
_atom_site_fract_z
_atom_site_occupancy
Sr1 0.000 0.000 0.000 1
H1 0.252 0.671 0.676 1
H2 0.271 0.690 0.354 1
H3 0.279 0.083 0.314 1
H4 0.284 0.350 0.927 1
H5 0.304 0.351 0.686 1
H6 0.309 0.326 0.345 1
H7 0.409 0.790 0.800 1
H8 0.427 0.810 0.208 1
O1 0.245 0.766 0.787 1
O2 0.267 0.813 0.257 1
O3 0.277 0.259 0.817 1
O4 0.285 0.218 0.242 1
O5 0.369 0.488 0.501 1
```


Model 2:
Below is a relaxed SrH16O10 crystal, with properties calculated at the GGA-PBE level.

```
data_SrH16O10
_symmetry_space_group_name_H-M 'P 1'
_symmetry_Int_Tables_number 1
_symmetry_space_group_name_Hall 'P 1'
_cell_length_a 6.131
_cell_length_b 6.408
_cell_length_c 11.551
_cell_angle_alpha 87.93
_cell_angle_beta 89.66
_cell_angle_gamma 90.00
loop_
_atom_site_label
_atom_site_fract_x
_atom_site_fract_y
_atom_site_fract_z
_atom_site_occupancy
Sr1 0.000 0.000 0.000 1
Sr2 0.009 0.001 0.503 1
H1 0.029 0.598 0.362 1
H2 0.037 0.400 0.067 1
H3 0.044 0.552 0.633 1
H4 0.120 0.318 0.795 1
H5 0.277 0.625 0.388 1
H6 0.278 0.388 0.108 1
H7 0.280 0.394 0.896 1
H8 0.289 0.608 0.602 1
H9 0.299 0.880 0.211 1
H10 0.312 0.889 0.791 1
H11 0.361 0.278 0.377 1
H12 0.393 0.271 0.603 1
H13 0.396 0.731 0.112 1
H14 0.399 0.729 0.893 1
H15 0.446 0.049 0.378 1
H16 0.464 0.037 0.630 1
H17 0.560 0.041 0.123 1
H18 0.568 0.050 0.870 1
H19 0.607 0.728 0.391 1
H20 0.619 0.279 0.108 1
H21 0.619 0.718 0.596 1
H22 0.622 0.284 0.896 1
H23 0.705 0.899 0.296 1
H24 0.727 0.391 0.385 1
H25 0.729 0.390 0.594 1
H26 0.729 0.622 0.891 1
H27 0.730 0.612 0.109 1
H28 0.735 0.808 0.709 1
H29 0.795 0.255 0.707 1
H30 0.906 0.302 0.294 1
H31 0.970 0.611 0.168 1
H32 0.972 0.615 0.844 1
O1 0.127 0.327 0.126 1
O2 0.129 0.336 0.879 1
O3 0.142 0.707 0.363 1
O4 0.149 0.668 0.634 1
O5 0.312 0.134 0.365 1
O6 0.335 0.131 0.631 1
O7 0.336 0.875 0.128 1
O8 0.339 0.876 0.875 1
O9 0.503 0.508 0.068 1
O10 0.504 0.508 0.938 1
O11 0.508 0.514 0.422 1
O12 0.517 0.506 0.551 1
O13 0.669 0.879 0.379 1
O14 0.679 0.851 0.632 1
O15 0.686 0.138 0.128 1
O16 0.689 0.153 0.865 1
O17 0.852 0.713 0.858 1
O18 0.858 0.313 0.634 1
O19 0.858 0.702 0.133 1
O20 0.882 0.334 0.376 1
```


Model 3:
Below is a relaxed SrH16O10 crystal, with properties calculated at the GGA-PBE level.

```
data_SrH16O10
_symmetry_space_group_name_H-M 'P 1'
_symmetry_Int_Tables_number 1
_symmetry_space_group_name_Hall 'P 1'
_cell_length_a 6.140
_cell_length_b 6.507
_cell_length_c 11.487
_cell_angle_alpha 89.02
_cell_angle_beta 88.11
_cell_angle_gamma 89.35
loop_
_atom_site_label
_atom_site_fract_x
_atom_site_fract_y
_atom_site_fract_z
_atom_site_occupancy
Sr1 0.000 0.000 0.000 1
Sr2 0.037 0.024 0.499 1
H1 0.051 0.526 0.866 1
H2 0.088 0.698 0.212 1
H3 0.102 0.428 0.347 1
H4 0.115 0.394 0.672 1
H5 0.126 0.718 0.370 1
H6 0.217 0.253 0.268 1
H7 0.276 0.637 0.113 1
H8 0.293 0.595 0.883 1
H9 0.318 0.873 0.717 1
H10 0.331 0.403 0.593 1
H11 0.381 0.308 0.098 1
H12 0.386 0.232 0.871 1
H13 0.418 0.073 0.140 1
H14 0.433 0.751 0.613 1
H15 0.470 0.735 0.404 1
H16 0.480 0.005 0.873 1
H17 0.486 0.970 0.368 1
H18 0.598 0.080 0.645 1
H19 0.609 0.726 0.106 1
H20 0.633 0.714 0.899 1
H21 0.641 0.276 0.393 1
H22 0.664 0.312 0.613 1
H23 0.708 0.383 0.107 1
H24 0.729 0.389 0.894 1
H25 0.729 0.820 0.212 1
H26 0.744 0.178 0.281 1
H27 0.750 0.838 0.791 1
H28 0.782 0.649 0.629 1
H29 0.786 0.590 0.428 1
H30 0.821 0.257 0.786 1
H31 0.946 0.385 0.159 1
H32 0.997 0.690 0.709 1
O1 0.131 0.704 0.127 1
O2 0.148 0.646 0.852 1
O3 0.172 0.288 0.349 1
O4 0.193 0.326 0.609 1
O5 0.303 0.178 0.129 1
O6 0.340 0.088 0.869 1
O7 0.365 0.886 0.635 1
O8 0.379 0.857 0.385 1
O9 0.511 0.510 0.063 1
O10 0.524 0.514 0.933 1
O11 0.585 0.531 0.573 1
O12 0.629 0.532 0.446 1
O13 0.669 0.859 0.137 1
O14 0.693 0.141 0.362 1
O15 0.698 0.856 0.873 1
O16 0.725 0.173 0.640 1
O17 0.832 0.290 0.139 1
O18 0.866 0.311 0.862 1
O19 0.891 0.754 0.657 1
O20 0.976 0.682 0.353 1
```


Most stable structure, least stable structure: model 2, model 1.


Model 1:
Below is a relaxed SrH16O10 crystal, with properties calculated at the GGA-PBE level.

```
data_SrH16O10
_symmetry_space_group_name_H-M 'P 1'
_symmetry_Int_Tables_number 1
_symmetry_space_group_name_Hall 'P 1'
_cell_length_a 6.202
_cell_length_b 6.335
_cell_length_c 11.592
_cell_angle_alpha 88.90
_cell_angle_beta 85.53
_cell_angle_gamma 89.74
loop_
_atom_site_label
_atom_site_fract_x
_atom_site_fract_y
_atom_site_fract_z
_atom_site_occupancy
Sr1 0.000 0.000 0.000 1
Sr2 0.052 0.938 0.500 1
H1 0.006 0.488 0.637 1
H2 0.034 0.622 0.824 1
H3 0.108 0.384 0.375 1
H4 0.224 0.210 0.720 1
H5 0.253 0.572 0.077 1
H6 0.264 0.634 0.877 1
H7 0.277 0.155 0.223 1
H8 0.295 0.773 0.702 1
H9 0.320 0.322 0.605 1
H10 0.349 0.326 0.396 1
H11 0.352 0.785 0.287 1
H12 0.376 0.295 0.888 1
H13 0.382 0.256 0.108 1
H14 0.436 0.656 0.598 1
H15 0.448 0.057 0.860 1
H16 0.460 0.663 0.390 1
H17 0.546 0.942 0.130 1
H18 0.568 0.703 0.093 1
H19 0.583 0.975 0.623 1
H20 0.605 0.742 0.886 1
H21 0.624 0.984 0.355 1
H22 0.657 0.212 0.600 1
H23 0.673 0.220 0.392 1
H24 0.709 0.396 0.905 1
H25 0.718 0.874 0.779 1
H26 0.771 0.547 0.603 1
H27 0.805 0.558 0.387 1
H28 0.822 0.195 0.227 1
H29 0.828 0.283 0.799 1
H30 0.915 0.672 0.130 1
H31 0.950 0.385 0.158 1
H32 0.990 0.642 0.286 1
O1 0.069 0.664 0.143 1
O2 0.147 0.722 0.841 1
O3 0.184 0.253 0.642 1
O4 0.209 0.260 0.374 1
O5 0.320 0.153 0.864 1
O6 0.330 0.118 0.143 1
O7 0.367 0.798 0.623 1
O8 0.396 0.806 0.365 1
O9 0.412 0.509 0.056 1
O10 0.459 0.518 0.929 1
O11 0.549 0.443 0.559 1
O12 0.566 0.448 0.430 1
O13 0.655 0.829 0.112 1
O14 0.675 0.880 0.862 1
O15 0.711 0.069 0.626 1
O16 0.745 0.086 0.361 1
O17 0.851 0.330 0.877 1
O18 0.860 0.258 0.149 1
O19 0.905 0.609 0.634 1
O20 0.956 0.617 0.372 1
```


Model 2:
Below is a relaxed SrH16O10 crystal, with properties calculated at the GGA-PBE level.

```
data_SrH16O10
_symmetry_space_group_name_H-M 'P 1'
_symmetry_Int_Tables_number 1
_symmetry_space_group_name_Hall 'P 1'
_cell_length_a 6.262
_cell_length_b 6.474
_cell_length_c 11.327
_cell_angle_alpha 89.36
_cell_angle_beta 89.95
_cell_angle_gamma 89.28
loop_
_atom_site_label
_atom_site_fract_x
_atom_site_fract_y
_atom_site_fract_z
_atom_site_occupancy
Sr1 0.000 0.000 0.000 1
Sr2 0.009 0.013 0.505 1
H1 0.026 0.575 0.135 1
H2 0.045 0.458 0.886 1
H3 0.050 0.310 0.134 1
H4 0.105 0.673 0.317 1
H5 0.150 0.316 0.722 1
H6 0.271 0.630 0.127 1
H7 0.285 0.386 0.908 1
H8 0.285 0.623 0.413 1
H9 0.286 0.399 0.611 1
H10 0.324 0.153 0.299 1
H11 0.328 0.865 0.788 1
H12 0.399 0.730 0.615 1
H13 0.400 0.737 0.903 1
H14 0.408 0.274 0.110 1
H15 0.408 0.287 0.408 1
H16 0.448 0.036 0.131 1
H17 0.462 0.968 0.629 1
H18 0.560 0.963 0.382 1
H19 0.564 0.042 0.875 1
H20 0.616 0.284 0.604 1
H21 0.618 0.722 0.399 1
H22 0.620 0.736 0.112 1
H23 0.633 0.276 0.893 1
H24 0.685 0.867 0.225 1
H25 0.701 0.147 0.712 1
H26 0.708 0.424 0.088 1
H27 0.730 0.622 0.612 1
H28 0.734 0.386 0.403 1
H29 0.739 0.615 0.898 1
H30 0.864 0.312 0.288 1
H31 0.873 0.692 0.785 1
H32 0.975 0.562 0.626 1
O1 0.130 0.692 0.137 1
O2 0.141 0.333 0.884 1
O3 0.144 0.335 0.635 1
O4 0.151 0.707 0.397 1
O5 0.331 0.145 0.131 1
O6 0.341 0.870 0.642 1
O7 0.342 0.874 0.877 1
O8 0.351 0.145 0.385 1
O9 0.506 0.508 0.444 1
O10 0.509 0.509 0.576 1
O11 0.524 0.496 0.941 1
O12 0.551 0.488 0.072 1
O13 0.666 0.876 0.136 1
O14 0.675 0.141 0.626 1
O15 0.678 0.859 0.370 1
O16 0.689 0.136 0.868 1
O17 0.859 0.300 0.376 1
O18 0.873 0.680 0.638 1
O19 0.880 0.679 0.874 1
O20 0.896 0.332 0.138 1
```


Model 3:
Below is a relaxed SrH16O10 crystal, with properties calculated at the GGA-PBE level.

```
data_SrH16O10
_symmetry_space_group_name_H-M 'C 1 2/c 1'
_symmetry_Int_Tables_number 15
_symmetry_space_group_name_Hall '-C 2yc'
_cell_length_a 8.921
_cell_length_b 8.862
_cell_length_c 11.607
_cell_angle_alpha 90.00
_cell_angle_beta 91.76
_cell_angle_gamma 90.00
loop_
_atom_site_label
_atom_site_fract_x
_atom_site_fract_y
_atom_site_fract_z
_atom_site_occupancy
Sr1 0.000 0.000 0.000 1
H1 0.052 0.329 0.111 1
H2 0.059 0.330 0.890 1
H3 0.115 0.204 0.793 1
H4 0.170 0.448 0.392 1
H5 0.173 0.441 0.611 1
H6 0.198 0.109 0.293 1
H7 0.203 0.240 0.113 1
H8 0.241 0.203 0.616 1
O1 0.001 0.496 0.565 1
O2 0.095 0.225 0.127 1
O3 0.101 0.223 0.875 1
O4 0.224 0.107 0.376 1
O5 0.228 0.092 0.629 1
```


Most stable structure, least stable structure: model 2, model 3.